The following is a PBE calculation of an optimized crystal structure of Zr2Al3C4, from the Materials Project.

Results
* total magnetic moment: 0.01 μB per formula unit
* formation energy: -0.230 eV per atom
* distance to the lowest polymorph of the same formula: 224 meV/atom

Cell lengths 3.3035, 3.3035, 23.2926 Å; angles 90.00, 90.00, 120.00 degrees
With the nearest neighbours (Å) after each atom.
Space group P-3m1 (No. 164)
Inequivalent atoms, fractional coordinates:
Zr: 0.3333 0.6667 0.0556 [2 per cell]  6 C 2.31-2.53
Zr: 0.3333 0.6667 0.4416 [2 per cell]  6 C 2.34-2.39
Al: 0.0000 0.0000 0.1538 [2 per cell]  3 C 2.01
Al: 0.0000 0.0000 0.3409 [2 per cell]  3 C 2.11
Al: 0.3333 0.6667 0.7507 [2 per cell]  3 C 1.95
C: 0.0000 0.0000 0.0000 [1 per cell]  6 Zr 2.31
C: 0.0000 0.0000 0.5000 [1 per cell]  6 Zr 2.34
C: 0.3333 0.6667 0.2666 [2 per cell]  3 Al 1.95
C: 0.3333 0.6667 0.6203 [2 per cell]  3 Al 2.11
C: 0.3333 0.6667 0.8728 [2 per cell]  3 Al 2.01